# 1
## RbPPbS4 (PBE)

Data for RbPPbS4 after structural relaxation.

Cell: 6.5578 6.8336 17.6504 Å, 90.00 90.00 90.00°
With the nearest neighbours (Å) after each atom.
Element x y z (fractional)
Rb  0.0189  0.0029  0.0434  7 S 3.46-3.58, 1 P 3.87
Rb  0.4811  0.9971  0.5434  7 S 3.46-3.58, 1 P 3.87
Rb  0.5189  0.4971  0.9566  7 S 3.46-3.58, 1 P 3.87
Rb  0.9811  0.5029  0.4566  7 S 3.46-3.58, 1 P 3.87
P  0.2187  0.0113  0.3470  4 S 2.05-2.07
P  0.2813  0.9887  0.8470  4 S 2.05-2.07
P  0.7187  0.4887  0.6530  4 S 2.05-2.07
P  0.7813  0.5113  0.1530  4 S 2.05-2.07
Pb  0.2140  0.5285  0.7306  6 S 2.96-3.19
Pb  0.2860  0.4715  0.2306  6 S 2.96-3.19
Pb  0.7140  0.9715  0.2694  6 S 2.96-3.19
Pb  0.7860  0.0285  0.7694  6 S 2.96-3.19
S  0.0437  0.5038  0.0899  1 P 2.05
S  0.1027  0.7519  0.8741  1 P 2.05
S  0.1123  0.2373  0.8665  1 P 2.06
S  0.1511  0.0356  0.2327  1 P 2.07
S  0.3489  0.9644  0.7327  1 P 2.07
S  0.3877  0.7627  0.3665  1 P 2.06
S  0.3973  0.2481  0.3741  1 P 2.05
S  0.4563  0.4962  0.5899  1 P 2.05
S  0.5437  0.9962  0.9101  1 P 2.05
S  0.6027  0.7481  0.1259  1 P 2.05
S  0.6123  0.2627  0.1335  1 P 2.06
S  0.6511  0.4644  0.7673  1 P 2.07
S  0.8489  0.5356  0.2673  1 P 2.07
S  0.8877  0.7373  0.6335  1 P 2.06
S  0.8973  0.2519  0.6259  1 P 2.05
S  0.9563  0.0038  0.4101  1 P 2.05

Output
- energy of formation (eV/atom) = -0.9711
- corrected total energy (MP2020 scheme) (eV/cell) = -133.8
- maximum piezoelectric response (C/m2) = 0.28
- distance to the lowest polymorph of the same formula (meV per atom) = 0

---

# 2
## Zr6Ga2Ni (PBE)

Data for Zr6Ga2Ni after structural relaxation.

Cell: 7.8346 7.8346 3.4037 Å, 90.00 90.00 120.00°
With the nearest neighbours (Å) after each atom.
Element x y z (fractional)
Zr  0.0000  0.2547  0.0000  2 Ni 2.62
Zr  0.0000  0.5959  0.5000  4 Ga 2.93, 1 Ni 3.17, 6 Zr 3.17-3.25
Zr  0.2547  0.0000  0.0000  2 Ni 2.62
Zr  0.4041  0.4041  0.5000  4 Ga 2.93, 1 Ni 3.17, 6 Zr 3.17-3.25
Zr  0.5959  0.0000  0.5000  4 Ga 2.93, 1 Ni 3.17, 6 Zr 3.17-3.25
Zr  0.7453  0.7453  0.0000  2 Ni 2.62
Ga  0.3333  0.6667  0.0000  9 Zr 2.93-2.97
Ga  0.6667  0.3333  0.0000  9 Zr 2.93-2.97
Ni  0.0000  0.0000  0.5000  6 Zr 2.62

Output
- energy of formation (eV/atom) = -0.4109

---

# 3
## Mg6FeSi (PBE)

Data for Mg6FeSi after structural relaxation.

Cell: 4.8346 6.0520 6.0520 Å, 60.26 90.00 90.00°
With the nearest neighbours (Å) after each atom.
Element x y z (fractional)
Mg  0.0000  0.0000  0.0000  2 Si 2.95, 10 Mg 2.97-3.08
Mg  0.0000  0.0131  0.5030  8 Mg 2.91-3.14, 2 Fe 2.96, 2 Si 2.99
Mg  0.0000  0.4970  0.4970  10 Mg 2.91-3.14, 2 Fe 2.94
Mg  0.0000  0.5030  0.0131  8 Mg 2.91-3.14, 2 Fe 2.96, 2 Si 2.99
Mg  0.5000  0.3380  0.8352  8 Mg 3.00-3.05, 2 Fe 3.01-3.04, 2 Si 3.01-3.04
Mg  0.5000  0.8352  0.3380  8 Mg 3.00-3.05, 2 Fe 3.01-3.04, 2 Si 3.01-3.04
Fe  0.5000  0.3378  0.3378  10 Mg 2.94-3.04, 2 Si 3.04
Si  0.5000  0.8387  0.8387  10 Mg 2.95-3.04, 2 Fe 3.04

Output
- energy of formation (eV/atom) = 0.1759
- corrected total energy (MP2020 scheme) (eV/cell) = -22.1
- distance to the lowest polymorph of the same formula (meV per atom) = 14